[1]
# Ba2MgTi2S6, optimized geometry, DFT PBE
# Distance to the lowest polymorph of the same formula ... 141 meV per atom
# Formation energy ... -1796 kJ/mol of formula units
# Spin magnetization ... 0.00 μB/f.u.
# Space group ... P3m1 (156)
data_Ba2MgTi2S6
_chemical_formula_sum 'Ba2 Mg1 Ti2 S6'
_cell_length_a 7.011
_cell_length_b 7.011
_cell_length_c 6.335
_cell_angle_alpha 90.00
_cell_angle_beta 90.00
_cell_angle_gamma 120.00
_space_group_name_H-M_alt 'P 1'
_space_group_IT_number 1
_space_group_name_Hall 'P 1'
loop_
_atom_site_label
_atom_site_type_symbol
_atom_site_fract_x
_atom_site_fract_y
_atom_site_fract_z
Ba1 Ba 0.000 0.000 0.000
Ba2 Ba 0.333 0.667 0.466
Mg1 Mg 0.333 0.667 0.971
Ti1 Ti 0.667 0.333 0.382
Ti2 Ti 0.667 0.333 0.816
S1 S 0.342 0.171 0.599
S2 S 0.513 0.025 0.100
S3 S 0.513 0.487 0.100
S4 S 0.829 0.171 0.599
S5 S 0.829 0.658 0.599
S6 S 0.975 0.487 0.100

***

[2]
# Ba6MgTi2S10, optimized geometry, DFT PBE
# Distance to the lowest polymorph of the same formula ... 0 meV per atom
# Formation energy ... -3607 kJ/mol of formula units
# Spin magnetization ... 0.01 μB/f.u.
# Space group ... P1 (1)
data_Ba6MgTi2S10
_chemical_formula_sum 'Ba6 Mg1 Ti2 S10'
_cell_length_a 8.496
_cell_length_b 8.968
_cell_length_c 9.151
_cell_angle_alpha 63.05
_cell_angle_beta 62.98
_cell_angle_gamma 86.37
_space_group_name_H-M_alt 'P 1'
_space_group_IT_number 1
_space_group_name_Hall 'P 1'
loop_
_atom_site_label
_atom_site_type_symbol
_atom_site_fract_x
_atom_site_fract_y
_atom_site_fract_z
Ba1 Ba 0.000 0.000 0.000
Ba2 Ba 0.016 0.523 0.435
Ba3 Ba 0.353 0.324 0.989
Ba4 Ba 0.382 0.853 0.555
Ba5 Ba 0.501 0.799 0.010
Ba6 Ba 0.857 0.504 0.992
Mg1 Mg 0.734 0.160 0.613
Ti1 Ti 0.456 0.411 0.484
Ti2 Ti 0.920 0.908 0.504
S1 S 0.178 0.661 0.999
S2 S 0.197 0.902 0.275
S3 S 0.208 0.470 0.690
S4 S 0.410 0.384 0.270
S5 S 0.418 0.120 0.711
S6 S 0.674 0.659 0.297
S7 S 0.690 0.683 0.678
S8 S 0.741 0.221 0.845
S9 S 0.888 0.176 0.300
S10 S 0.962 0.921 0.723

***

[3]
# Ba2MgTi2S6, optimized geometry, DFT PBE
# Distance to the lowest polymorph of the same formula ... 0 meV per atom
# Formation energy ... -1946 kJ/mol of formula units
# Spin magnetization ... 0.00 μB/f.u.
# Space group ... Cm (8)
data_Ba2MgTi2S6
_chemical_formula_sum 'Ba2 Mg1 Ti2 S6'
_cell_length_a 7.549
_cell_length_b 7.549
_cell_length_c 5.881
_cell_angle_alpha 106.36
_cell_angle_beta 106.36
_cell_angle_gamma 53.89
_space_group_name_H-M_alt 'P 1'
_space_group_IT_number 1
_space_group_name_Hall 'P 1'
loop_
_atom_site_label
_atom_site_type_symbol
_atom_site_fract_x
_atom_site_fract_y
_atom_site_fract_z
Ba1 Ba 0.000 0.000 0.000
Ba2 Ba 0.233 0.233 0.649
Mg1 Mg 0.396 0.396 0.274
Ti1 Ti 0.634 0.634 0.813
Ti2 Ti 0.635 0.635 0.304
S1 S 0.295 0.776 0.493
S2 S 0.460 0.973 0.122
S3 S 0.469 0.469 0.941
S4 S 0.776 0.295 0.493
S5 S 0.778 0.778 0.661
S6 S 0.973 0.460 0.122

***

[4]
# Ba6MgTi2S10, optimized geometry, DFT PBE
# Distance to the lowest polymorph of the same formula ... 55 meV per atom
# Formation energy ... -3507 kJ/mol of formula units
# Spin magnetization ... 0.00 μB/f.u.
# Space group ... Cm (8)
data_Ba6MgTi2S10
_chemical_formula_sum 'Ba6 Mg1 Ti2 S10'
_cell_length_a 9.259
_cell_length_b 9.259
_cell_length_c 8.463
_cell_angle_alpha 116.37
_cell_angle_beta 116.37
_cell_angle_gamma 92.23
_space_group_name_H-M_alt 'P 1'
_space_group_IT_number 1
_space_group_name_Hall 'P 1'
loop_
_atom_site_label
_atom_site_type_symbol
_atom_site_fract_x
_atom_site_fract_y
_atom_site_fract_z
Ba1 Ba 0.000 0.000 0.000
Ba2 Ba 0.026 0.528 0.445
Ba3 Ba 0.108 0.108 0.646
Ba4 Ba 0.509 0.509 0.363
Ba5 Ba 0.528 0.026 0.445
Ba6 Ba 0.746 0.746 0.078
Mg1 Mg 0.426 0.426 0.822
Ti1 Ti 0.106 0.590 0.011
Ti2 Ti 0.590 0.106 0.011
S1 S 0.083 0.360 0.041
S2 S 0.143 0.825 0.298
S3 S 0.292 0.292 0.471
S4 S 0.360 0.083 0.041
S5 S 0.360 0.660 0.021
S6 S 0.571 0.868 0.743
S7 S 0.660 0.360 0.021
S8 S 0.825 0.143 0.298
S9 S 0.829 0.829 0.509
S10 S 0.868 0.571 0.743

***

[5]
# Ba2MgTi2S6, optimized geometry, DFT PBE
# Distance to the lowest polymorph of the same formula ... 533 meV per atom
# Formation energy ... -1380 kJ/mol of formula units
# Spin magnetization ... 0.00 μB/f.u.
# Space group ... P-6m2 (187)
data_Ba2MgTi2S6
_chemical_formula_sum 'Ba2 Mg1 Ti2 S6'
_cell_length_a 7.053
_cell_length_b 7.053
_cell_length_c 7.288
_cell_angle_alpha 90.00
_cell_angle_beta 90.00
_cell_angle_gamma 120.00
_space_group_name_H-M_alt 'P 1'
_space_group_IT_number 1
_space_group_name_Hall 'P 1'
loop_
_atom_site_label
_atom_site_type_symbol
_atom_site_fract_x
_atom_site_fract_y
_atom_site_fract_z
Ba1 Ba 0.000 0.000 0.000
Ba2 Ba 0.333 0.667 0.500
Mg1 Mg 0.667 0.333 0.500
Ti1 Ti 0.667 0.333 0.164
Ti2 Ti 0.667 0.333 0.836
S1 S 0.303 0.151 0.500
S2 S 0.502 0.003 0.000
S3 S 0.502 0.498 0.000
S4 S 0.849 0.151 0.500
S5 S 0.849 0.697 0.500
S6 S 0.997 0.498 0.000

***

[6]
# Ba2MgTi2S6, optimized geometry, DFT PBE
# Distance to the lowest polymorph of the same formula ... 19 meV per atom
# Formation energy ... -1926 kJ/mol of formula units
# Spin magnetization ... 0.11 μB/f.u.
# Space group ... C2/m (12)
data_Ba2MgTi2S6
_chemical_formula_sum 'Ba2 Mg1 Ti2 S6'
_cell_length_a 7.459
_cell_length_b 7.459
_cell_length_c 5.869
_cell_angle_alpha 100.50
_cell_angle_beta 100.50
_cell_angle_gamma 55.72
_space_group_name_H-M_alt 'P 1'
_space_group_IT_number 1
_space_group_name_Hall 'P 1'
loop_
_atom_site_label
_atom_site_type_symbol
_atom_site_fract_x
_atom_site_fract_y
_atom_site_fract_z
Ba1 Ba 0.218 0.218 0.181
Ba2 Ba 0.782 0.782 0.819
Mg1 Mg 0.000 0.000 0.500
Ti1 Ti 0.500 0.500 0.000
Ti2 Ti 0.500 0.500 0.500
S1 S 0.171 0.672 0.221
S2 S 0.328 0.829 0.779
S3 S 0.343 0.343 0.696
S4 S 0.657 0.657 0.304
S5 S 0.672 0.171 0.221
S6 S 0.829 0.328 0.779

***

[7]
# Ba2MgV2S6, optimized geometry, DFT PBE
# Distance to the lowest polymorph of the same formula ... 1 meV per atom
# Formation energy ... -1708 kJ/mol of formula units
# Spin magnetization ... 4.00 μB/f.u.
# Space group ... P1 (1)
data_Ba2MgV2S6
_chemical_formula_sum 'Ba2 Mg1 V2 S6'
_cell_length_a 6.204
_cell_length_b 6.819
_cell_length_c 7.013
_cell_angle_alpha 118.68
_cell_angle_beta 102.85
_cell_angle_gamma 91.90
_space_group_name_H-M_alt 'P 1'
_space_group_IT_number 1
_space_group_name_Hall 'P 1'
loop_
_atom_site_label
_atom_site_type_symbol
_atom_site_fract_x
_atom_site_fract_y
_atom_site_fract_z
Ba1 Ba 0.000 0.000 0.000
Ba2 Ba 0.392 0.746 0.493
Mg1 Mg 0.590 0.154 0.293
V1 V 0.121 0.402 0.792
V2 V 0.647 0.410 0.804
S1 S 0.301 0.247 0.489
S2 S 0.429 0.250 0.972
S3 S 0.451 0.746 0.965
S4 S 0.824 0.076 0.598
S5 S 0.840 0.528 0.584
S6 S 0.968 0.565 0.100

***

[8]
# Ba2MgV2S6, optimized geometry, DFT PBE
# Distance to the lowest polymorph of the same formula ... 529 meV per atom
# Formation energy ... -1148 kJ/mol of formula units
# Spin magnetization ... 2.00 μB/f.u.
# Space group ... P-6m2 (187)
data_Ba2MgV2S6
_chemical_formula_sum 'Ba2 Mg1 V2 S6'
_cell_length_a 7.030
_cell_length_b 7.030
_cell_length_c 7.002
_cell_angle_alpha 90.00
_cell_angle_beta 90.00
_cell_angle_gamma 120.00
_space_group_name_H-M_alt 'P 1'
_space_group_IT_number 1
_space_group_name_Hall 'P 1'
loop_
_atom_site_label
_atom_site_type_symbol
_atom_site_fract_x
_atom_site_fract_y
_atom_site_fract_z
Ba1 Ba 0.000 0.000 0.000
Ba2 Ba 0.333 0.667 0.500
Mg1 Mg 0.667 0.333 0.000
V1 V 0.667 0.333 0.348
V2 V 0.667 0.333 0.652
S1 S 0.033 0.516 0.000
S2 S 0.333 0.166 0.500
S3 S 0.484 0.516 0.000
S4 S 0.484 0.967 0.000
S5 S 0.834 0.166 0.500
S6 S 0.834 0.667 0.500

***

[9]
# Ba2MgV2S6, optimized geometry, DFT PBE
# Distance to the lowest polymorph of the same formula ... 23 meV per atom
# Formation energy ... -1684 kJ/mol of formula units
# Spin magnetization ... 4.00 μB/f.u.
# Space group ... Cm (8)
data_Ba2MgV2S6
_chemical_formula_sum 'Ba2 Mg1 V2 S6'
_cell_length_a 7.129
_cell_length_b 7.129
_cell_length_c 6.404
_cell_angle_alpha 107.63
_cell_angle_beta 107.63
_cell_angle_gamma 57.55
_space_group_name_H-M_alt 'P 1'
_space_group_IT_number 1
_space_group_name_Hall 'P 1'
loop_
_atom_site_label
_atom_site_type_symbol
_atom_site_fract_x
_atom_site_fract_y
_atom_site_fract_z
Ba1 Ba 0.000 0.000 0.000
Ba2 Ba 0.607 0.607 0.636
Mg1 Mg 0.759 0.759 0.257
V1 V 0.295 0.295 0.321
V2 V 0.334 0.334 0.792
S1 S 0.042 0.494 0.015
S2 S 0.133 0.638 0.567
S3 S 0.158 0.158 0.484
S4 S 0.494 0.042 0.015
S5 S 0.540 0.540 0.107
S6 S 0.638 0.133 0.567

***

[10]
# Ba2MgV2S6, optimized geometry, DFT PBE
# Distance to the lowest polymorph of the same formula ... 20 meV per atom
# Formation energy ... -1687 kJ/mol of formula units
# Spin magnetization ... 4.00 μB/f.u.
# Space group ... P1 (1)
data_Ba2MgV2S6
_chemical_formula_sum 'Ba2 Mg1 V2 S6'
_cell_length_a 6.141
_cell_length_b 6.818
_cell_length_c 7.231
_cell_angle_alpha 117.67
_cell_angle_beta 102.83
_cell_angle_gamma 90.36
_space_group_name_H-M_alt 'P 1'
_space_group_IT_number 1
_space_group_name_Hall 'P 1'
loop_
_atom_site_label
_atom_site_type_symbol
_atom_site_fract_x
_atom_site_fract_y
_atom_site_fract_z
Ba1 Ba 0.000 0.000 0.000
Ba2 Ba 0.376 0.422 0.838
Mg1 Mg 0.687 0.209 0.418
V1 V 0.186 0.710 0.419
V2 V 0.687 0.710 0.419
S1 S 0.402 0.389 0.269
S2 S 0.403 0.878 0.266
S3 S 0.503 0.864 0.729
S4 S 0.869 0.555 0.111
S5 S 0.969 0.542 0.574
S6 S 0.972 0.031 0.569

***

[11]
# Ba2MgV2S6, optimized geometry, DFT PBE
# Distance to the lowest polymorph of the same formula ... 0 meV per atom
# Formation energy ... -1709 kJ/mol of formula units
# Spin magnetization ... 4.00 μB/f.u.
# Space group ... Cm (8)
data_Ba2MgV2S6
_chemical_formula_sum 'Ba2 Mg1 V2 S6'
_cell_length_a 7.060
_cell_length_b 7.060
_cell_length_c 6.202
_cell_angle_alpha 104.02
_cell_angle_beta 104.02
_cell_angle_gamma 57.64
_space_group_name_H-M_alt 'P 1'
_space_group_IT_number 1
_space_group_name_Hall 'P 1'
loop_
_atom_site_label
_atom_site_type_symbol
_atom_site_fract_x
_atom_site_fract_y
_atom_site_fract_z
Ba1 Ba 0.000 0.000 0.000
Ba2 Ba 0.250 0.250 0.609
Mg1 Mg 0.853 0.853 0.410
V1 V 0.599 0.599 0.350
V2 V 0.604 0.604 0.876
S1 S 0.266 0.765 0.557
S2 S 0.451 0.451 0.029
S3 S 0.475 0.934 0.168
S4 S 0.756 0.756 0.699
S5 S 0.765 0.266 0.557
S6 S 0.934 0.475 0.168

***

[12]
# BaMg6Sb, optimized geometry, DFT PBE
# Formation energy ... -48 kJ/mol of formula units
# Spin magnetization ... 0.00 μB/f.u.
data_BaMg6Sb
_chemical_formula_sum 'Ba2 Mg12 Sb2'
_cell_length_a 5.395
_cell_length_b 6.680
_cell_length_c 12.307
_cell_angle_alpha 90.00
_cell_angle_beta 90.00
_cell_angle_gamma 90.00
_space_group_name_H-M_alt 'P 1'
_space_group_IT_number 1
_space_group_name_Hall 'P 1'
loop_
_atom_site_label
_atom_site_type_symbol
_atom_site_fract_x
_atom_site_fract_y
_atom_site_fract_z
Mg1 Mg 0.000 0.765 0.573
Mg2 Mg 0.500 0.252 0.921
Mg3 Mg 0.000 0.000 0.350
Mg4 Mg 0.500 0.752 0.421
Mg5 Mg 0.000 0.235 0.573
Mg6 Mg 0.000 0.500 0.334
Mg7 Mg 0.000 0.500 0.850
Mg8 Mg 0.000 0.265 0.073
Mg9 Mg 0.000 0.735 0.073
Mg10 Mg 0.500 0.248 0.421
Mg11 Mg 0.000 0.000 0.834
Mg12 Mg 0.500 0.748 0.921
Sb1 Sb 0.500 0.500 0.154
Sb2 Sb 0.500 0.000 0.654
Ba1 Ba 0.500 0.500 0.673
Ba2 Ba 0.500 0.000 0.173

***

no.,calculated total energy (eV/atom)
1,-5.60
2,-5.40
3,-5.75
4,-5.35
5,-5.21
6,-5.73
7,-5.74
8,-5.21
9,-5.71
10,-5.72
11,-5.74
12,-1.99